Entry 1:
30
Lattice="2.993 -5.149 0.000 2.993 5.149 0.000 -0.510 0.000 14.776" Properties=species:S:1:pos:R:3 comment="PBE Ba3CdIr2O9, relaxed" space_group="No. 15" formation_energy_ev_per_atom=-2.0696 e_tot_ev_per_atom=-6.2500 magmom_total_mub_per_fu=0.00 pbc="T T T"
Ba 2.611 5.124 11.082
Ba 2.746 1.703 6.116
Ba 2.986 1.703 1.272
Ba 2.492 -1.703 13.504
Ba 2.731 -1.703 8.660
Ba 2.866 -5.124 3.694
Cd 0.000 0.000 0.000
Cd -0.255 0.000 7.388
Ir 2.475 1.722 12.356
Ir 2.748 1.722 9.808
Ir 2.729 -1.722 4.968
Ir 3.003 -1.722 2.420
O 1.236 2.499 10.920
O 2.300 3.354 13.428
O 0.948 0.924 13.300
O 1.514 0.968 8.489
O 2.923 3.354 8.735
O 1.203 -0.924 5.912
O 1.769 -0.968 1.101
O 2.611 0.124 11.082
O 3.987 2.499 11.244
O 1.491 -2.499 3.532
O 2.866 -0.124 3.694
O 3.708 0.968 13.675
O 4.274 0.924 8.864
O 2.555 -3.354 6.041
O 3.963 -0.968 6.287
O 4.529 -0.924 1.476
O 3.177 -3.354 1.347
O 4.241 -2.499 3.856

---

Entry 2:
12
Lattice="5.105 0.000 0.000 0.000 10.005 0.000 0.000 0.000 8.648" Properties=species:S:1:pos:R:3 comment="PBE K2BaCdSb2, relaxed" space_group="No. 26" formation_energy_ev_per_atom=-0.6917 e_tot_ev_per_atom=-2.8478 magmom_total_mub_per_fu=0.00 pbc="T T T"
K 0.000 0.777 0.000
K 0.000 9.228 4.324
K 2.553 1.607 2.808
K 2.553 8.398 7.132
Ba 2.553 4.504 8.465
Ba 2.553 5.501 4.141
Cd 0.000 3.231 5.481
Cd 0.000 6.774 1.157
Sb 0.000 3.869 2.319
Sb 0.000 6.136 6.644
Sb 2.553 1.808 6.217
Sb 2.553 8.197 1.893

---

Entry 3:
32
Lattice="13.363 0.000 0.000 0.000 5.033 0.000 0.000 0.000 17.035" Properties=species:S:1:pos:R:3 comment="PBE KBa2Cd2Sb3, relaxed" space_group="No. 62" formation_energy_ev_per_atom=-0.7749 e_tot_ev_per_atom=-3.1005 magmom_total_mub_per_fu=0.00 pbc="T T T"
K 1.351 1.258 0.925
K 5.330 3.775 9.442
K 8.033 1.258 7.593
K 12.011 3.775 16.110
Ba 1.332 3.775 7.285
Ba 1.699 1.258 13.451
Ba 4.982 3.775 4.933
Ba 5.350 1.258 15.802
Ba 8.013 3.775 1.232
Ba 8.380 1.258 12.101
Ba 11.664 3.775 3.584
Ba 12.031 1.258 9.750
Cd 1.801 1.258 4.829
Cd 2.617 1.258 9.942
Cd 4.065 3.775 1.425
Cd 4.880 3.775 13.347
Cd 8.483 1.258 3.688
Cd 9.298 1.258 15.610
Cd 10.746 3.775 7.092
Cd 11.561 3.775 12.205
Sb 1.044 3.775 10.812
Sb 1.786 3.775 3.347
Sb 2.847 3.775 15.745
Sb 3.834 1.258 7.228
Sb 4.895 1.258 11.865
Sb 5.638 1.258 2.295
Sb 7.725 3.775 14.740
Sb 8.467 3.775 5.170
Sb 9.529 3.775 9.807
Sb 10.515 1.258 1.290
Sb 11.577 1.258 13.687
Sb 12.319 1.258 6.222